No. 1
! Li2Fe3NiO8 | the Materials Project | PBE with a Hubbard U | optimized geometry; values from VASP
! **Energy of formation from the pure elements**: -35.1 kcal/mol of atoms
! **Total magnetization**: 28.01 μB/cell
! **Polymorph energy (0 for the lowest one)**: 63 kJ/mol of formula units
&SYSTEM
  ibrav = 0, nat = 28, ntyp = 4
/
ATOMIC_SPECIES
Li 6.94 Li.upf
Fe 55.84 Fe.upf
Ni 58.69 Ni.upf
O 16.00 O.upf
CELL_PARAMETERS angstrom
5.845 -0.063 -0.003
-2.977 5.156 0.006
-0.005 0.009 9.601
ATOMIC_POSITIONS angstrom
Li 0.035 0.027 9.594
Li 2.867 1.661 3.732
Li 2.830 5.071 4.797
Li -0.007 3.445 8.536
Fe 1.468 0.860 6.839
Fe -1.481 4.277 2.077
Fe -0.012 1.741 2.069
Fe 1.392 4.247 2.042
Fe 2.879 3.362 6.875
Fe 4.341 0.823 6.867
Ni -0.069 3.406 4.701
Ni 2.927 1.704 9.498
O 2.769 1.611 5.778
O 0.113 0.074 7.817
O 2.750 5.027 3.020
O -0.094 1.621 5.789
O -0.130 4.928 3.232
O -1.339 2.656 3.175
O 1.422 0.832 1.061
O 1.234 2.613 3.215
O 4.212 2.429 7.973
O 4.491 0.825 0.985
O 2.985 3.471 0.987
O 1.639 2.519 8.029
O 1.434 4.282 5.865
O 0.090 3.496 0.980
O -1.633 4.248 5.791
O 2.962 0.180 8.013

***

No. 2
! Li8FeNi9O20 | the Materials Project | PBE with a Hubbard U | optimized geometry; values from VASP
! **Energy of formation from the pure elements**: -32.7 kcal/mol of atoms
! **Total magnetization**: 12.00 μB/cell
&SYSTEM
  ibrav = 0, nat = 38, ntyp = 4
/
ATOMIC_SPECIES
O 16.00 O.upf
Ni 58.69 Ni.upf
Li 6.94 Li.upf
Fe 55.84 Fe.upf
CELL_PARAMETERS angstrom
-3.963 4.267 2.685
-5.468 -5.240 0.496
0.130 -3.804 6.575
ATOMIC_POSITIONS angstrom
O -3.541 -1.562 3.352
O -7.903 -2.486 7.876
O -3.100 0.696 5.653
O -5.651 -0.143 2.400
O -8.285 -1.856 5.209
O -5.760 -3.217 6.404
O -1.398 -2.292 1.880
O -5.927 -2.759 3.218
O -8.146 -5.267 8.804
O -5.281 -1.298 8.131
O -3.650 -4.636 7.356
O -1.155 0.489 0.952
O -3.374 -2.020 6.538
O -3.635 -4.140 4.318
O -1.016 -2.922 4.547
O -5.666 -0.638 5.438
O -6.032 -5.950 7.288
O -6.201 -5.474 4.103
O -3.269 1.172 2.468
O -4.020 -3.481 1.624
Ni -2.273 -0.522 2.239
Ni -2.541 -3.202 3.095
Ni -7.028 -4.256 7.517
Ni -4.451 -2.952 7.746
Ni -6.760 -1.577 6.661
Ni -4.168 -0.324 6.874
Ni -4.850 -1.826 2.010
Ni -5.133 -4.454 2.882
Ni -1.981 2.133 1.343
Li -5.054 -5.028 5.721
Li -2.734 -2.620 0.248
Li -2.316 -3.655 5.920
Li -6.985 -1.123 3.836
Li -5.238 -7.690 6.627
Li -4.247 0.250 4.035
Li -4.651 -2.389 4.878
Li -4.063 2.912 3.129
Fe 0.065 -1.902 3.287

***

No. 3
! Li2Fe3NiO8 | the Materials Project | PBE with a Hubbard U | optimized geometry; values from VASP
! **Energy of formation from the pure elements**: -32.6 kcal/mol of atoms
! **Total magnetization**: 14.00 μB/cell
! **Polymorph energy (0 for the lowest one)**: 212 kJ/mol of formula units
&SYSTEM
  ibrav = 0, nat = 14, ntyp = 4
/
ATOMIC_SPECIES
O 16.00 O.upf
Ni 58.69 Ni.upf
Fe 55.84 Fe.upf
Li 6.94 Li.upf
CELL_PARAMETERS angstrom
4.090 -1.964 -3.355
4.722 3.012 -0.681
4.907 -1.951 2.470
ATOMIC_POSITIONS angstrom
O 10.386 -0.779 -1.009
O 5.437 -1.083 -2.225
O 7.972 -2.253 -0.647
O 6.013 -1.309 1.013
O 7.706 0.406 -2.579
O 3.333 -0.125 -0.557
O 5.747 1.350 -0.918
O 8.282 0.179 0.660
Ni 0.000 0.000 0.000
Fe 4.406 0.524 -2.018
Fe 2.361 1.506 -0.340
Fe 2.045 -0.982 -1.677
Li 2.453 -0.976 1.235
Li 6.859 -0.452 -0.783

***

No. 4
! Li4Fe3NiO8 | the Materials Project | PBE with a Hubbard U | optimized geometry; values from VASP
! **Energy of formation from the pure elements**: -40.5 kcal/mol of atoms
! **Total magnetization**: 18.00 μB/cell
! **Polymorph energy (0 for the lowest one)**: 108 kJ/mol of formula units
&SYSTEM
  ibrav = 0, nat = 16, ntyp = 4
/
ATOMIC_SPECIES
O 16.00 O.upf
Ni 58.69 Ni.upf
Li 6.94 Li.upf
Fe 55.84 Fe.upf
CELL_PARAMETERS angstrom
5.111 0.000 0.000
0.013 5.545 0.000
0.005 0.009 6.493
ATOMIC_POSITIONS angstrom
O 0.569 5.063 4.122
O 3.111 0.501 2.327
O 3.212 3.162 3.991
O 0.652 2.367 2.487
O 0.710 5.150 0.736
O 3.225 0.388 5.787
O 0.567 2.289 5.630
O 3.115 3.306 0.888
Ni 2.569 5.080 0.828
Li 2.576 2.330 5.694
Li 0.042 3.242 0.806
Li 0.039 0.457 2.433
Li 2.582 5.084 4.055
Fe 0.020 3.237 4.063
Fe 5.113 0.464 5.696
Fe 2.574 2.309 2.404

***

No. 5
! Li6Fe3NiP6O24 | the Materials Project | PBE with a Hubbard U | optimized geometry; values from VASP
! **Energy of formation from the pure elements**: -55.6 kcal/mol of atoms
! **Total magnetization**: 17.83 μB/cell
&SYSTEM
  ibrav = 0, nat = 40, ntyp = 5
/
ATOMIC_SPECIES
O 16.00 O.upf
Fe 55.84 Fe.upf
Li 6.94 Li.upf
P 30.97 P.upf
Ni 58.69 Ni.upf
CELL_PARAMETERS angstrom
8.570 0.000 0.000
4.065 7.597 0.000
4.091 2.447 7.185
ATOMIC_POSITIONS angstrom
O 7.627 8.885 5.311
O 6.264 7.095 0.383
O 10.695 3.443 1.412
O 7.826 2.860 3.070
O 12.661 8.429 7.132
O 5.183 2.078 3.625
O 9.446 1.563 4.440
O 4.278 4.584 2.230
O 6.192 4.681 4.264
O 7.037 5.092 1.679
O 6.075 6.653 5.740
O 5.288 4.315 6.568
O 9.135 1.059 1.922
O 11.493 7.947 3.560
O 9.605 5.038 5.486
O 6.076 2.612 0.806
O 12.454 5.619 5.005
O 8.887 7.144 4.127
O 10.490 5.364 2.915
O 10.466 7.421 6.351
O 10.517 2.984 6.696
O 7.213 8.342 2.795
O 8.106 3.879 6.987
O 11.456 5.751 0.585
Fe 10.779 6.481 4.597
Fe 5.917 3.543 2.547
Fe 14.317 8.627 6.130
Li 8.239 7.029 6.123
Li 8.702 2.970 1.100
Li 5.919 6.774 2.445
Li 6.713 3.084 5.597
Li 8.507 5.034 3.517
Li 12.532 2.529 7.177
P 8.236 8.553 3.906
P 8.463 1.441 3.278
P 7.091 5.781 0.270
P 9.596 4.225 6.821
P 11.379 4.766 1.794
P 5.335 5.342 5.396
Ni 2.438 1.472 1.056

***

No. 6
! Li5Fe3Ni2P6O24 | the Materials Project | PBE with a Hubbard U | optimized geometry; values from VASP
! **Energy of formation from the pure elements**: -54.7 kcal/mol of atoms
! **Total magnetization**: 19.00 μB/cell
&SYSTEM
  ibrav = 0, nat = 40, ntyp = 5
/
ATOMIC_SPECIES
P 30.97 P.upf
O 16.00 O.upf
Fe 55.84 Fe.upf
Li 6.94 Li.upf
Ni 58.69 Ni.upf
CELL_PARAMETERS angstrom
-4.018 6.273 -3.895
0.921 0.652 -8.424
-6.650 -2.018 -4.922
ATOMIC_POSITIONS angstrom
P -3.050 3.579 -11.522
P -2.962 4.911 -7.006
P -2.544 -0.064 -8.755
P -7.146 5.019 -8.457
P -6.895 0.025 -10.276
P -6.784 1.301 -5.923
O -1.102 0.415 -9.169
O -7.866 2.107 -6.601
O -3.869 5.667 -5.955
O -2.898 5.486 -8.391
O -8.235 2.851 -11.251
O -5.761 2.258 -12.835
O -2.872 1.962 -2.663
O -8.609 4.630 -8.097
O -7.007 -0.607 -8.892
O -2.683 5.086 -11.368
O -6.255 5.318 -7.234
O -3.378 -0.487 -9.938
O -4.287 2.728 -4.588
O -6.117 -0.870 -11.287
O -6.278 5.037 -11.686
O -6.497 3.740 -9.124
O -1.633 2.332 -5.899
O -3.298 1.117 -8.063
O -3.718 3.527 -7.154
O -4.291 3.316 -10.586
O -7.015 -0.244 -6.003
O -6.030 1.343 -10.119
O -5.453 1.665 -6.681
O -3.143 -0.033 -5.469
Fe -3.448 1.739 -6.131
Fe -1.408 0.721 -2.510
Fe -6.342 3.169 -11.217
Li -4.453 0.360 -11.235
Li -8.174 4.128 -14.465
Li -5.257 4.096 -5.866
Li -8.252 2.606 -8.379
Li -4.039 5.460 -9.882
Ni -5.742 -1.321 -13.336
Ni -4.862 2.403 -8.618

***

No. 7
! Li4Fe5NiP6O24 | the Materials Project | PBE with a Hubbard U | optimized geometry; values from VASP
! **Energy of formation from the pure elements**: -54.3 kcal/mol of atoms
! **Total magnetization**: 24.00 μB/cell
&SYSTEM
  ibrav = 0, nat = 40, ntyp = 5
/
ATOMIC_SPECIES
O 16.00 O.upf
P 30.97 P.upf
Li 6.94 Li.upf
Fe 55.84 Fe.upf
Ni 58.69 Ni.upf
CELL_PARAMETERS angstrom
8.347 -0.280 -0.216
4.385 -7.762 -0.029
4.399 -2.619 -7.300
ATOMIC_POSITIONS angstrom
O 7.886 -2.381 -0.591
O 14.928 -8.978 -5.214
O 8.794 -8.201 -1.481
O 9.245 -8.317 -6.783
O 8.964 -4.192 -1.917
O 11.577 -7.918 -2.093
O 4.179 -3.881 -3.881
O 10.747 -3.092 -6.781
O 9.746 -3.624 -4.556
O 2.261 -1.602 -2.291
O 12.794 -9.941 -6.111
O 6.586 -4.726 -4.267
O 8.125 -6.541 -5.517
O 10.777 -8.125 -4.568
O 9.698 -5.751 -7.225
O 6.269 -2.640 -2.990
O 12.905 -6.936 -3.960
O 11.772 -7.492 -7.413
O 6.401 -7.467 -0.782
O 7.388 -7.021 -3.089
O 13.923 -6.455 -6.706
O 5.595 -2.715 -5.487
O 10.549 -6.001 -3.326
O 3.205 -4.403 -0.743
P 5.643 -3.482 -4.110
P 11.475 -7.248 -3.514
P 7.324 -8.056 -1.903
P 9.832 -2.506 -5.643
P 8.674 -6.851 -6.966
P 8.440 -3.851 -0.486
Li 8.430 -2.305 -2.670
Li 11.077 -4.871 -5.697
Li 10.218 -6.482 -1.278
Li 8.673 -8.387 -4.769
Fe 8.533 -5.290 -3.757
Fe 11.143 -8.996 -6.385
Fe 11.023 -3.874 -2.736
Fe 6.208 -6.696 -4.746
Fe 0.059 -0.016 -0.023
Ni 5.942 -1.723 -1.205